[1]
A plane-wave DFT calculation with GGA+U was carried out for crystalline La7SmCo6Cu2O24 at its relaxed geometry.

formation enthalpy at 0 K = -2.49 eV per atom
final energy = -7.05 eV per atom
space-group type = No. 35

a b c (Å): 7.684 7.684 7.631
angles (deg): 90.00 90.00 90.10
Sites, in units of the cell vectors:
O 0.752 0.996 0.503
La 0.500 0.500 0.249
O 0.751 0.505 0.500
O 0.002 0.246 0.998
Co 0.751 0.751 0.501
O 0.498 0.250 0.999
Co 0.751 0.249 0.000
O 0.248 0.004 0.503
O 0.004 0.248 0.503
O 0.750 0.750 0.251
O 0.998 0.754 0.998
Cu 0.250 0.750 0.500
La 0.500 0.000 0.750
O 0.753 0.753 0.749
O 0.249 0.751 0.246
O 0.751 0.249 0.246
O 0.996 0.752 0.503
La 0.500 0.000 0.250
O 0.246 0.002 0.998
O 0.249 0.495 0.500
O 0.495 0.249 0.500
O 0.753 0.247 0.754
O 0.505 0.751 0.500
O 0.247 0.753 0.754
Co 0.249 0.751 0.000
Co 0.250 0.250 0.000
Co 0.249 0.249 0.501
Co 0.750 0.750 0.000
O 0.247 0.247 0.749
O 0.754 0.998 0.998
La 0.000 0.500 0.750
Sm 0.000 0.000 0.752
O 0.750 0.502 0.999
O 0.250 0.250 0.251
O 0.502 0.750 0.999
Cu 0.750 0.250 0.500
O 0.250 0.498 0.999
La 0.000 0.500 0.250
La 0.500 0.500 0.750
La 0.000 0.000 0.250


[2]
A plane-wave DFT calculation with GGA+U was carried out for crystalline La7SmCo5Cu3O20 at its relaxed geometry.

formation enthalpy at 0 K = -2.34 eV per atom
final energy = -6.90 eV per atom
space-group type = No. 1

a b c (Å): 10.779 11.389 17.934
angles (deg): 108.45 107.46 89.99
Sites, in units of the cell vectors:
La 0.944 0.703 0.889
O 0.620 0.621 0.487
O 0.135 0.385 0.016
Co 0.255 0.251 0.001
O 0.133 0.381 0.513
O 0.622 0.121 0.989
O 0.620 0.618 0.984
O 0.843 0.280 0.143
O 0.868 0.613 0.985
La 0.559 0.294 0.111
O 0.920 0.569 0.750
O 0.336 0.283 0.637
O 0.672 0.929 0.251
Cu 0.504 0.000 0.001
Cu 0.754 0.751 0.002
O 0.620 0.119 0.487
O 0.382 0.884 0.012
O 0.414 0.570 0.243
La 0.693 0.933 0.388
O 0.118 0.119 0.986
O 0.418 0.074 0.750
O 0.669 0.428 0.250
O 0.954 0.386 0.854
O 0.880 0.383 0.009
Sm 0.054 0.793 0.110
O 0.951 0.385 0.354
La 0.943 0.206 0.889
Co 0.859 0.906 0.751
O 0.632 0.878 0.512
La 0.194 0.433 0.388
La 0.054 0.295 0.112
O 0.370 0.616 0.989
Co 0.855 0.403 0.749
Cu 0.003 0.999 0.002
Co 0.109 0.098 0.751
O 0.454 0.885 0.855
O 0.120 0.620 0.487
Co 0.610 0.594 0.752
Co 0.255 0.250 0.500
Co 0.611 0.096 0.252
O 0.598 0.613 0.647
O 0.608 0.114 0.148
Cu 0.253 0.751 0.001
Co 0.605 0.594 0.248
O 0.132 0.878 0.017
Cu 0.003 0.501 0.499
O 0.870 0.115 0.990
O 0.596 0.115 0.645
O 0.121 0.119 0.484
Co 0.861 0.906 0.250
O 0.348 0.783 0.645
La 0.302 0.064 0.111
O 0.200 0.718 0.355
O 0.098 0.615 0.647
O 0.164 0.924 0.244
La 0.449 0.206 0.889
Co 0.355 0.903 0.248
La 0.307 0.063 0.610
O 0.370 0.616 0.487
Cu 0.504 0.999 0.500
La 0.806 0.568 0.111
O 0.637 0.884 0.017
O 0.632 0.381 0.513
O 0.347 0.780 0.143
La 0.805 0.065 0.610
Sm 0.693 0.433 0.892
La 0.946 0.203 0.387
O 0.700 0.220 0.857
O 0.089 0.108 0.640
O 0.603 0.616 0.145
Co 0.109 0.593 0.751
O 0.419 0.571 0.750
Sm 0.803 0.067 0.109
Cu 0.753 0.250 0.000
La 0.198 0.933 0.387
O 0.914 0.072 0.245
Cu 0.752 0.749 0.499
Co 0.359 0.906 0.751
O 0.171 0.932 0.751
O 0.447 0.885 0.353
La 0.695 0.934 0.889
O 0.886 0.386 0.514
La 0.445 0.703 0.889
O 0.104 0.616 0.145
La 0.194 0.934 0.889
O 0.703 0.719 0.857
La 0.056 0.796 0.612
O 0.871 0.617 0.487
O 0.385 0.385 0.513
La 0.557 0.795 0.612
O 0.169 0.428 0.250
La 0.306 0.567 0.612
Cu 0.253 0.749 0.499
O 0.699 0.715 0.354
Co 0.359 0.403 0.748
O 0.202 0.218 0.862
La 0.694 0.435 0.389
O 0.859 0.782 0.147
O 0.450 0.386 0.351
Co 0.755 0.251 0.500
Cu 0.503 0.502 0.001
O 0.385 0.391 0.017
Co 0.105 0.094 0.250
O 0.101 0.118 0.148
O 0.670 0.428 0.756
La 0.559 0.298 0.613
Co 0.356 0.404 0.245
O 0.138 0.879 0.516
La 0.058 0.296 0.610
O 0.383 0.882 0.511
La 0.944 0.704 0.388
La 0.443 0.703 0.386
O 0.882 0.883 0.515
O 0.170 0.425 0.750
O 0.339 0.280 0.136
O 0.201 0.716 0.857
O 0.870 0.116 0.485
O 0.421 0.071 0.250
O 0.951 0.885 0.856
O 0.697 0.218 0.362
O 0.670 0.931 0.751
Co 0.004 0.998 0.498
Cu 0.002 0.501 0.001
Co 0.858 0.404 0.249
O 0.459 0.386 0.853
Co 0.609 0.097 0.751
La 0.807 0.567 0.612
O 0.632 0.378 0.010
O 0.950 0.894 0.361
Co 0.109 0.595 0.248
O 0.845 0.783 0.646
La 0.193 0.436 0.890
O 0.887 0.887 0.020
O 0.920 0.074 0.750
O 0.372 0.115 0.986
La 0.553 0.797 0.112
O 0.198 0.215 0.361
O 0.372 0.114 0.486
O 0.121 0.623 0.991
La 0.448 0.205 0.389
Sm 0.300 0.569 0.109
O 0.921 0.571 0.250
Cu 0.503 0.501 0.500
O 0.834 0.284 0.638


[3]
A plane-wave DFT calculation with GGA+U was carried out for crystalline Li4Mn2Co3Cu3O16 at its relaxed geometry.

formation enthalpy at 0 K = -1.41 eV per atom
final energy = -5.68 eV per atom
space-group type = No. 8

a b c (Å): 5.788 5.788 9.296
angles (deg): 88.54 88.54 59.44
Sites, in units of the cell vectors:
O 0.994 0.994 0.303
O 0.672 0.672 0.110
O 0.038 0.488 0.843
Co 0.660 0.171 0.713
Cu 0.168 0.168 0.712
O 0.480 0.480 0.837
Co 0.171 0.660 0.713
O 0.536 0.965 0.345
Cu 0.831 0.340 0.214
O 0.829 0.331 0.593
Cu 0.340 0.831 0.214
O 0.526 0.526 0.351
Mn 0.672 0.672 0.492
O 0.164 0.164 0.094
O 0.663 0.152 0.098
Co 0.830 0.830 0.211
Li 0.000 0.000 0.994
O 0.965 0.536 0.345
O 0.152 0.663 0.098
O 0.996 0.996 0.804
O 0.338 0.338 0.613
Li 0.999 0.999 0.494
Li 0.338 0.338 0.402
O 0.331 0.829 0.593
O 0.488 0.038 0.843
O 0.835 0.835 0.601
Mn 0.329 0.329 0.980
Li 0.663 0.663 0.896